Record 1
A relaxed structure of Na6La4In4Si3S9O48, computed with GGA-PBE.

Cell lengths 9.270, 16.026, 24.216 Å; angles 90.56, 90.19, 90.05 degrees
Sites, in units of the cell vectors:
1 Na 0.000 0.000 0.000
2 Na 0.002 0.317 0.186
3 Na 0.125 0.487 0.268
4 Na 0.129 0.833 0.915
5 Na 0.348 0.330 0.423
6 Na 0.352 0.988 0.751
7 Na 0.466 0.832 0.675
8 Na 0.474 0.500 0.504
9 Na 0.486 0.157 0.835
10 Na 0.496 0.148 0.351
11 Na 0.500 0.499 0.999
12 Na 0.512 0.825 0.184
13 Na 0.632 0.331 0.918
14 Na 0.839 0.834 0.426
15 Na 0.963 0.320 0.680
16 Na 0.982 0.652 0.843
17 Na 0.987 0.661 0.344
18 Na 0.997 0.001 0.509
19 La 0.481 0.163 0.201
20 La 0.481 0.828 0.022
21 La 0.483 0.845 0.527
22 La 0.485 0.482 0.159
23 La 0.497 0.489 0.658
24 La 0.501 0.832 0.328
25 La 0.973 0.331 0.825
26 La 0.977 0.989 0.159
27 La 0.985 0.334 0.022
28 La 0.993 0.326 0.523
29 La 0.995 0.665 0.700
30 La 0.997 0.983 0.656
31 In 0.477 0.150 0.988
32 In 0.481 0.493 0.359
33 In 0.482 0.830 0.828
34 In 0.490 0.145 0.494
35 In 0.491 0.161 0.692
36 In 0.503 0.484 0.853
37 In 0.975 0.986 0.356
38 In 0.980 0.655 0.990
39 In 0.980 0.665 0.196
40 In 0.993 0.329 0.331
41 In 0.995 0.992 0.856
42 In 0.996 0.650 0.489
43 Si 0.143 0.479 0.422
44 Si 0.147 0.843 0.767
45 Si 0.327 0.345 0.266
46 Si 0.330 0.978 0.922
47 Si 0.343 0.017 0.598
48 Si 0.630 0.333 0.759
49 Si 0.652 0.986 0.425
50 Si 0.825 0.484 0.926
51 Si 0.841 0.836 0.260
52 S 0.127 0.520 0.095
53 S 0.128 0.797 0.089
54 S 0.141 0.172 0.421
55 S 0.142 0.139 0.761
56 S 0.171 0.824 0.425
57 S 0.192 0.158 0.088
58 S 0.200 0.493 0.763
59 S 0.276 0.991 0.263
60 S 0.283 0.657 0.588
61 S 0.302 0.325 0.926
62 S 0.331 0.638 0.258
63 S 0.334 0.672 0.923
64 S 0.347 0.300 0.588
65 S 0.628 0.646 0.766
66 S 0.631 0.301 0.086
67 S 0.634 0.015 0.089
68 S 0.643 0.669 0.427
69 S 0.685 0.326 0.422
70 S 0.691 0.991 0.764
71 S 0.700 0.658 0.093
72 S 0.777 0.161 0.593
73 S 0.789 0.491 0.262
74 S 0.791 0.826 0.923
75 S 0.830 0.168 0.927
76 S 0.841 0.514 0.589
77 S 0.843 0.799 0.585
78 S 0.848 0.146 0.265
79 O 0.061 0.436 0.094
80 O 0.062 0.881 0.091
81 O 0.065 0.752 0.431
82 O 0.068 0.571 0.429
83 O 0.072 0.205 0.472
84 O 0.072 0.439 0.365
85 O 0.075 0.562 0.147
86 O 0.076 0.749 0.764
87 O 0.077 0.757 0.036
88 O 0.078 0.101 0.711
89 O 0.079 0.883 0.824
90 O 0.084 0.902 0.420
91 O 0.089 0.086 0.412
92 O 0.089 0.567 0.045
93 O 0.090 0.226 0.765
94 O 0.090 0.748 0.138
95 O 0.099 0.234 0.087
96 O 0.101 0.082 0.088
97 O 0.101 0.565 0.765
98 O 0.104 0.090 0.811
99 O 0.108 0.228 0.374
100 O 0.114 0.415 0.763
101 O 0.115 0.901 0.714
102 O 0.116 0.413 0.473
103 O 0.148 0.339 0.267
104 O 0.151 0.985 0.920
105 O 0.167 0.006 0.596
106 O 0.168 0.634 0.253
107 O 0.171 0.674 0.930
108 O 0.181 0.998 0.311
109 O 0.187 0.307 0.588
110 O 0.188 0.653 0.539
111 O 0.193 0.991 0.210
112 O 0.196 0.661 0.639
113 O 0.213 0.309 0.878
114 O 0.214 0.334 0.977
115 O 0.260 0.808 0.376
116 O 0.260 0.832 0.475
117 O 0.279 0.163 0.140
118 O 0.283 0.493 0.711
119 O 0.286 0.155 0.039
120 O 0.286 0.513 0.096
121 O 0.287 0.804 0.089
122 O 0.295 0.499 0.813
123 O 0.302 0.175 0.427
124 O 0.303 0.138 0.759
125 O 0.322 0.484 0.420
126 O 0.326 0.839 0.767
127 O 0.353 0.916 0.976
128 O 0.356 0.401 0.210
129 O 0.362 0.914 0.263
130 O 0.363 0.588 0.308
131 O 0.363 0.729 0.876
132 O 0.372 0.580 0.588
133 O 0.374 0.065 0.264
134 O 0.376 0.732 0.587
135 O 0.379 0.067 0.541
136 O 0.380 0.725 0.263
137 O 0.385 0.586 0.914
138 O 0.388 0.254 0.638
139 O 0.392 0.402 0.922
140 O 0.396 0.600 0.208
141 O 0.397 0.260 0.535
142 O 0.398 0.060 0.657
143 O 0.398 0.389 0.320
144 O 0.399 0.252 0.261
145 O 0.402 0.704 0.975
146 O 0.403 0.935 0.868
147 O 0.405 0.071 0.929
148 O 0.408 0.254 0.933
149 O 0.410 0.386 0.590
150 O 0.419 0.924 0.599
151 O 0.549 0.242 0.754
152 O 0.564 0.385 0.085
153 O 0.568 0.731 0.773
154 O 0.569 0.930 0.088
155 O 0.570 0.611 0.714
156 O 0.573 0.372 0.820
157 O 0.574 0.705 0.476
158 O 0.579 0.079 0.430
159 O 0.580 0.943 0.370
160 O 0.581 0.256 0.035
161 O 0.582 0.255 0.426
162 O 0.587 0.582 0.418
163 O 0.588 0.056 0.141
164 O 0.590 0.064 0.761
165 O 0.591 0.257 0.137
166 O 0.591 0.396 0.708
167 O 0.592 0.062 0.040
168 O 0.592 0.593 0.814
169 O 0.597 0.404 0.417
170 O 0.601 0.913 0.769
171 O 0.609 0.582 0.094
172 O 0.609 0.734 0.092
173 O 0.619 0.720 0.377
174 O 0.627 0.921 0.476
175 O 0.646 0.488 0.920
176 O 0.665 0.824 0.259
177 O 0.669 0.167 0.934
178 O 0.680 0.507 0.587
179 O 0.684 0.803 0.585
180 O 0.688 0.152 0.262
181 O 0.689 0.169 0.643
182 O 0.690 0.160 0.541
183 O 0.696 0.507 0.310
184 O 0.698 0.810 0.874
185 O 0.703 0.482 0.210
186 O 0.705 0.834 0.974
187 O 0.772 0.336 0.472
188 O 0.775 0.983 0.713
189 O 0.779 0.312 0.373
190 O 0.785 0.003 0.814
191 O 0.789 0.651 0.763
192 O 0.790 0.653 0.042
193 O 0.790 0.663 0.144
194 O 0.791 0.309 0.086
195 O 0.794 0.007 0.087
196 O 0.805 0.666 0.433
197 O 0.806 0.323 0.759
198 O 0.830 0.988 0.420
199 O 0.848 0.422 0.979
200 O 0.854 0.222 0.878
201 O 0.865 0.084 0.593
202 O 0.874 0.235 0.592
203 O 0.877 0.414 0.267
204 O 0.880 0.893 0.206
205 O 0.880 0.903 0.918
206 O 0.883 0.562 0.540
207 O 0.886 0.083 0.918
208 O 0.887 0.094 0.312
209 O 0.887 0.755 0.636
210 O 0.888 0.555 0.641
211 O 0.892 0.563 0.256
212 O 0.895 0.754 0.928
213 O 0.896 0.440 0.872
214 O 0.896 0.754 0.534
215 O 0.900 0.205 0.977
216 O 0.900 0.878 0.318
217 O 0.901 0.576 0.933
218 O 0.905 0.112 0.212
219 O 0.906 0.429 0.588
220 O 0.907 0.884 0.584
221 O 0.909 0.232 0.271
222 O 0.923 0.744 0.257

formation energy from the elements = -2.43 eV per atom
M_tot = 0.0000 μB per atom
V = 3597 Å³ per cell
E = -6.439 eV/atom

Record 2
A relaxed structure of La2InNi2, computed with GGA-PBE.

Cell lengths 7.703, 7.703, 3.800 Å; angles 90.00, 90.00, 90.00 degrees
Sites, in units of the cell vectors:
1 La 0.174 0.326 0.000
2 La 0.326 0.826 0.000
3 La 0.674 0.174 0.000
4 La 0.826 0.674 0.000
5 In 0.000 0.000 0.500
6 In 0.500 0.500 0.500
7 Ni 0.121 0.621 0.500
8 Ni 0.379 0.121 0.500
9 Ni 0.621 0.879 0.500
10 Ni 0.879 0.379 0.500

formation energy from the elements = -0.44 eV per atom
M_tot = 0.0000 μB per atom
V = 225 Å³ per cell
E = -5.281 eV/atom

The lowest formation energy from the elements belongs to which entry? Na6La4In4Si3S9O48